A plane-wave DFT calculation with r2SCAN was carried out for a relaxed structure of ThAu2.

Computed properties:
Spin magnetization   0.17 μB/f.u.
Calculated formation energy   -789 meV per atom
VASP energy   -59.004 eV/atom

a = 4.7845 Å, b = 4.7845 Å, c = 3.4436 Å
α = 90.00°, β = 90.00°, γ = 120.00°
Space group P6/mmm (No. 191)
Symmetry-distinct sites (fractional):
1 Th 0.0000 0.0000 0.0000
2 Au 0.3333 0.6667 0.5000